No. 1
The following is a DFT calculation (PBE) of a geometry-optimized CsNp2Se6 structure.

Cell: 4.1259 5.4928 23.9209 Å, 90.00 90.00 90.00°
Closest atoms and distances in Å follow each position.
Space group Immm (No. 71)
Asymmetric unit:
Cs  0.0000  0.0000  0.0000 x2  8 Se 3.77, 2 Cs 4.13
Np  0.0000  0.0000  0.1879 x4  8 Se 2.89-2.96
Se  0.0000  0.2562  0.3807 x8  2 Se 2.68-2.81, 2 Np 2.96
Se  0.0000  0.5000  0.2276 x4  4 Np 2.89-2.91

Output
As for the energy of formation from the pure elements: -1.35 eV per atom. The calculation puts the total energy at -6.34 eV/atom.

No. 2
The following is a DFT calculation (PBE) of a geometry-optimized Ce10S19 structure.

Cell: 8.9301 8.9301 15.9908 Å, 90.00 90.00 90.00°
Closest atoms and distances in Å follow each position.
Space group P4_2/n (No. 86, origin choice 2)
Asymmetric unit:
Ce  0.0408  0.3487  0.1220 x8  9 S 2.88-3.14
Ce  0.0554  0.3536  0.6018 x8  8 S 2.84-3.09
Ce  0.2500  0.7500  0.1132 x4  9 S 2.87-2.98
S  0.0284  0.8058  0.2492 x8  1 S 2.18
S  0.0487  0.3484  0.4245 x8  5 Ce 2.84-2.99
S  0.0536  0.3520  0.9372 x8  5 Ce 2.84-2.97
S  0.0774  0.8864  0.7499 x8  1 S 2.18
S  0.2500  0.2500  0.2500 x2  4 Ce 2.91, 4 S 3.17
S  0.2500  0.7500  0.4327 x4  5 Ce 2.88-2.93

Output
As for the energy of formation from the pure elements: -2.09 eV per atom. The calculation puts the total energy at -6.51 eV/atom.

No. 3
The following is a DFT calculation (PBE) of a geometry-optimized V3Cu structure.

Cell: 3.6874 3.6874 7.7682 Å, 90.00 90.00 90.00°
Closest atoms and distances in Å follow each position.
Space group I4/mmm (No. 139)
Asymmetric unit:
V  0.0000  0.0000  0.0000 x2  4 Cu 2.61, 8 V 2.68
V  0.0000  0.5000  0.2500 x4  8 V 2.61-2.68, 4 Cu 2.68
Cu  0.0000  0.0000  0.5000 x2  12 V 2.61-2.68

Output
As for the energy of formation from the pure elements: 0.15 eV per atom. The calculation puts the total energy at -7.69 eV/atom.